Compound: Li9Mn2Co5O16
Source: the Materials Project
Functional: PBE with a Hubbard U
Structure: optimized geometry

E above lowest polymorph ... 0.231 eV per atom
Energy with MP2020 corrections ... -6.327 eV/atom
Magnetic moment ... 0.1 μB/cell
Energy ... -5.623 eV per atom
E_form ... -1.63 eV/atom

Cell: 2.947 5.096 19.379 Å, 94.17 91.18 91.51°
Space group P1 (No. 1)
Symmetry-distinct sites (fractional):
1 Li 0.000 0.000 0.000 (multiplicity 1)
2 Li 0.000 0.268 0.748 (multiplicity 1)
3 Li 0.002 0.749 0.253 (multiplicity 1)
4 Li 0.490 0.999 0.510 (multiplicity 1)
5 Li 0.494 0.264 0.255 (multiplicity 1)
6 Li 0.499 0.380 0.629 (multiplicity 1)
7 Li 0.500 0.495 0.000 (multiplicity 1)
8 Li 0.510 0.761 0.747 (multiplicity 1)
9 Li 0.990 0.498 0.514 (multiplicity 1)
10 Mn 0.499 0.879 0.128 (multiplicity 1)
11 Mn 0.997 0.130 0.381 (multiplicity 1)
12 Co 0.000 0.631 0.875 (multiplicity 1)
13 Co 0.000 0.880 0.628 (multiplicity 1)
14 Co 0.497 0.630 0.381 (multiplicity 1)
15 Co 0.501 0.131 0.876 (multiplicity 1)
16 Co 0.998 0.378 0.128 (multiplicity 1)
17 O 0.000 0.829 0.435 (multiplicity 1)
18 O 0.001 0.151 0.574 (multiplicity 1)
19 O 0.018 0.959 0.819 (multiplicity 1)
20 O 0.042 0.674 0.070 (multiplicity 1)
21 O 0.483 0.973 0.324 (multiplicity 1)
22 O 0.486 0.805 0.934 (multiplicity 1)
23 O 0.490 0.180 0.071 (multiplicity 1)
24 O 0.491 0.708 0.573 (multiplicity 1)
25 O 0.504 0.579 0.187 (multiplicity 1)
26 O 0.510 0.288 0.437 (multiplicity 1)
27 O 0.511 0.049 0.682 (multiplicity 1)
28 O 0.520 0.456 0.817 (multiplicity 1)
29 O 0.954 0.083 0.187 (multiplicity 1)
30 O 0.982 0.307 0.934 (multiplicity 1)
31 O 0.996 0.432 0.324 (multiplicity 1)
32 O 0.999 0.612 0.683 (multiplicity 1)

Compound: KAlNiF6
Source: the Materials Project
Functional: PBE with a Hubbard U
Structure: optimized geometry

Energy with MP2020 corrections ... -5.665 eV/atom
Magnetic moment ... 8.0 μB/cell
Energy ... -5.075 eV per atom
E_form ... -3.21 eV/atom

Cell: 7.091 7.140 10.079 Å, 90.00 90.00 90.00°
Space group Imma (No. 74)
Symmetry-distinct sites (fractional):
1 K 0.000 0.250 0.132 (multiplicity 4)
2 Al 0.250 0.250 0.750 (multiplicity 4)
3 Ni 0.000 0.000 0.500 (multiplicity 4)
4 F 0.000 0.250 0.412 (multiplicity 4)
5 F 0.000 0.250 0.801 (multiplicity 4)
6 F 0.210 0.068 0.628 (multiplicity 16)

Compound: YV2O4
Source: the Materials Project
Functional: PBE with a Hubbard U
Structure: optimized geometry

E above lowest polymorph ... 0.124 eV per atom
Energy with MP2020 corrections ... -9.054 eV/atom
Magnetic moment ... 20.0 μB/cell
Energy ... -8.175 eV per atom
E_form ... -2.71 eV/atom

Cell: 5.828 5.828 10.061 Å, 90.00 90.00 90.00°
Space group I4_1/a (No. 88, origin choice 2)
Symmetry-distinct sites (fractional):
1 Y 0.000 0.250 0.125 (multiplicity 4)
2 V 0.000 0.000 0.500 (multiplicity 8)
3 O 0.150 0.447 0.322 (multiplicity 16)

Compound: K2MnTlF6
Source: the Materials Project
Functional: PBE with a Hubbard U
Structure: optimized geometry

Energy with MP2020 corrections ... -5.223 eV/atom
Magnetic moment ... 16.0 μB/cell
Energy ... -4.779 eV per atom
E_form ... -2.70 eV/atom

Cell: 9.095 9.095 9.095 Å, 90.00 90.00 90.00°
Space group Fm-3m (No. 225)
Symmetry-distinct sites (fractional):
1 K 0.250 0.250 0.250 (multiplicity 8)
2 Mn 0.000 0.000 0.000 (multiplicity 4)
3 Tl 0.000 0.000 0.500 (multiplicity 4)
4 F 0.000 0.000 0.216 (multiplicity 24)

Compound: CaDyCo4O12
Source: the Materials Project
Functional: PBE with a Hubbard U
Structure: optimized geometry

Energy with MP2020 corrections ... -6.649 eV/atom
Magnetic moment ... 29.8 μB/cell
Energy ... -5.827 eV per atom
E_form ... -1.40 eV/atom

Cell: 7.467 7.390 7.448 Å, 90.00 90.00 90.00°
Space group Amm2 (No. 38)
Symmetry-distinct sites (fractional):
1 Ca 0.000 0.000 0.000 (multiplicity 2)
2 Dy 0.500 0.000 0.529 (multiplicity 2)
3 Co 0.247 0.246 0.262 (multiplicity 8)
4 O 0.000 0.219 0.259 (multiplicity 4)
5 O 0.231 0.000 0.733 (multiplicity 4)
6 O 0.252 0.227 0.011 (multiplicity 8)
7 O 0.291 0.000 0.301 (multiplicity 4)
8 O 0.500 0.217 0.749 (multiplicity 4)

Compound: LiFe8O12
Source: the Materials Project
Functional: PBE with a Hubbard U
Structure: optimized geometry

E above lowest polymorph ... 0.002 eV per atom
Energy with MP2020 corrections ... -7.808 eV/atom
Magnetic moment ... 78.0 μB/cell
Energy ... -6.556 eV per atom
E_form ... -1.66 eV/atom

Cell: 6.037 6.042 13.450 Å, 77.38 77.06 89.93°
Space group P-1 (No. 2)
Symmetry-distinct sites (fractional):
1 Li 0.000 0.000 0.000 (multiplicity 1)
2 Li 0.500 0.500 0.500 (multiplicity 1)
3 Fe 0.000 0.500 0.000 (multiplicity 1)
4 Fe 0.000 0.500 0.500 (multiplicity 1)
5 Fe 0.123 0.374 0.751 (multiplicity 2)
6 Fe 0.167 0.159 0.163 (multiplicity 2)
7 Fe 0.203 0.962 0.580 (multiplicity 2)
8 Fe 0.328 0.840 0.838 (multiplicity 2)
9 Fe 0.342 0.332 0.335 (multiplicity 2)
10 Fe 0.342 0.830 0.335 (multiplicity 2)
11 Fe 0.456 0.699 0.083 (multiplicity 2)
12 O 0.071 0.593 0.838 (multiplicity 2)
13 O 0.076 0.073 0.830 (multiplicity 2)
14 O 0.098 0.578 0.340 (multiplicity 2)
15 O 0.106 0.085 0.328 (multiplicity 2)
16 O 0.239 0.257 0.005 (multiplicity 2)
17 O 0.241 0.735 0.999 (multiplicity 2)
18 O 0.242 0.262 0.494 (multiplicity 2)
19 O 0.243 0.742 0.494 (multiplicity 2)
20 O 0.403 0.916 0.174 (multiplicity 2)
21 O 0.404 0.395 0.176 (multiplicity 2)
22 O 0.432 0.920 0.664 (multiplicity 2)
23 O 0.433 0.418 0.668 (multiplicity 2)